No. 1
Compound: Ta2MnV3
Source: Materials Project
Functional: GGA-PBE
Structure: relaxed

a = 4.9575 Å, b = 4.9575 Å, c = 4.9575 Å
α = 60.99°, β = 60.99°, γ = 60.99°
With the nearest neighbours (Å) after each atom.
Fractional coordinates of all 6 atoms:
Ta  0.1253  0.1253  0.1253  9 V 2.90-2.93, 3 Mn 2.95, 4 Ta 3.02-3.07
Ta  0.8747  0.8747  0.8747  9 V 2.90-2.93, 3 Mn 2.95, 4 Ta 3.02-3.07
Mn  0.5000  0.5000  0.5000  6 V 2.48
V  0.0000  0.5000  0.5000  2 Mn 2.48, 4 V 2.52
V  0.5000  0.0000  0.5000  2 Mn 2.48, 4 V 2.52
V  0.5000  0.5000  0.0000  2 Mn 2.48, 4 V 2.52

Computed properties:
Mass density in g cm⁻³: 10.74
E_form in eV per atom: -0.23


No. 2
Compound: TbMn3
Source: Materials Project
Functional: GGA-PBE
Structure: relaxed

a = 5.9511 Å, b = 5.9511 Å, c = 4.5796 Å
α = 90.00°, β = 90.00°, γ = 120.00°
With the nearest neighbours (Å) after each atom.
Fractional coordinates of all 8 atoms:
Tb  0.3333  0.6667  0.2500  12 Mn 2.98
Tb  0.6667  0.3333  0.7500  12 Mn 2.98
Mn  0.1490  0.2981  0.7500  6 Mn 2.66-2.76, 2 Tb 2.98
Mn  0.1490  0.8510  0.7500  6 Mn 2.66-2.76, 2 Tb 2.98
Mn  0.2981  0.1490  0.2500  6 Mn 2.66-2.76, 2 Tb 2.98
Mn  0.7019  0.8510  0.7500  6 Mn 2.66-2.76, 2 Tb 2.98
Mn  0.8510  0.1490  0.2500  6 Mn 2.66-2.76, 2 Tb 2.98
Mn  0.8510  0.7019  0.2500  6 Mn 2.66-2.76, 2 Tb 2.98

Computed properties:
Mass density in g cm⁻³: 7.65
E_form in eV per atom: 0.30


No. 3
Compound: Tb6Mn23
Source: Materials Project
Functional: GGA-PBE
Structure: relaxed

a = 8.5268 Å, b = 8.5268 Å, c = 8.5268 Å
α = 60.00°, β = 60.00°, γ = 60.00°
With the nearest neighbours (Å) after each atom.
Fractional coordinates of all 29 atoms:
Tb  0.2048  0.2048  0.7952  12 Mn 2.95-3.06
Tb  0.2048  0.7952  0.2048  12 Mn 2.95-3.06
Tb  0.2048  0.7952  0.7952  12 Mn 2.95-3.06
Tb  0.7952  0.2048  0.2048  12 Mn 2.95-3.06
Tb  0.7952  0.2048  0.7952  12 Mn 2.95-3.06
Tb  0.7952  0.7952  0.2048  12 Mn 2.95-3.06
Mn  0.0000  0.0000  0.5000  8 Mn 2.47-2.63
Mn  0.0000  0.5000  0.0000  8 Mn 2.47-2.63
Mn  0.0000  0.5000  0.5000  8 Mn 2.47-2.63
Mn  0.1337  0.6221  0.6221  7 Mn 2.55-2.63
Mn  0.1777  0.1777  0.1777  9 Mn 2.47-2.59
Mn  0.1777  0.1777  0.4670  9 Mn 2.47-2.59
Mn  0.1777  0.4670  0.1777  9 Mn 2.47-2.59
Mn  0.3779  0.3779  0.3779  7 Mn 2.55-2.63
Mn  0.3779  0.3779  0.8663  7 Mn 2.55-2.63
Mn  0.3779  0.8663  0.3779  7 Mn 2.55-2.63
Mn  0.4670  0.1777  0.1777  9 Mn 2.47-2.59
Mn  0.5000  0.0000  0.0000  8 Mn 2.47-2.63
Mn  0.5000  0.0000  0.5000  8 Mn 2.47-2.63
Mn  0.5000  0.5000  0.0000  8 Mn 2.47-2.63
Mn  0.5000  0.5000  0.5000  8 Mn 2.55
Mn  0.5330  0.8223  0.8223  9 Mn 2.47-2.59
Mn  0.6221  0.1337  0.6221  7 Mn 2.55-2.63
Mn  0.6221  0.6221  0.1337  7 Mn 2.55-2.63
Mn  0.6221  0.6221  0.6221  7 Mn 2.55-2.63
Mn  0.8223  0.5330  0.8223  9 Mn 2.47-2.59
Mn  0.8223  0.8223  0.5330  9 Mn 2.47-2.59
Mn  0.8223  0.8223  0.8223  9 Mn 2.47-2.59
Mn  0.8663  0.3779  0.3779  7 Mn 2.55-2.63

Computed properties:
Mass density in g cm⁻³: 8.40
E_form in eV per atom: 0.12


No. 4
Compound: Tb4Mn
Source: Materials Project
Functional: GGA-PBE
Structure: relaxed

a = 7.4475 Å, b = 7.4475 Å, c = 7.4475 Å
α = 60.00°, β = 60.00°, γ = 60.00°
With the nearest neighbours (Å) after each atom.
Fractional coordinates of all 10 atoms:
Tb  0.2171  0.7610  0.7610  1 Mn 2.48
Tb  0.2390  0.2390  0.2390  1 Mn 2.48
Tb  0.2390  0.2390  0.7829  1 Mn 2.48
Tb  0.2390  0.7829  0.2390  1 Mn 2.48
Tb  0.7610  0.2171  0.7610  1 Mn 2.48
Tb  0.7610  0.7610  0.2171  1 Mn 2.48
Tb  0.7610  0.7610  0.7610  1 Mn 2.48
Tb  0.7829  0.2390  0.2390  1 Mn 2.48
Mn  0.3750  0.3750  0.3750  4 Tb 2.48
Mn  0.6250  0.6250  0.6250  4 Tb 2.48

Computed properties:
Mass density in g cm⁻³: 7.85
E_form in eV per atom: 0.55


No. 5
Compound: MnTe
Source: Materials Project
Functional: GGA-PBE
Structure: relaxed

a = 5.8630 Å, b = 4.2215 Å, c = 7.2600 Å
α = 90.00°, β = 90.00°, γ = 90.00°
With the nearest neighbours (Å) after each atom.
Fractional coordinates of all 8 atoms:
Mn  0.0024  0.2500  0.2450  6 Te 2.81-2.86, 2 Mn 2.93
Mn  0.4976  0.7500  0.7450  6 Te 2.81-2.86, 2 Mn 2.93
Mn  0.5024  0.2500  0.2550  6 Te 2.81-2.86, 2 Mn 2.93
Mn  0.9976  0.7500  0.7550  6 Te 2.81-2.86, 2 Mn 2.93
Te  0.2454  0.7500  0.4162  6 Mn 2.81-2.86
Te  0.2546  0.2500  0.9162  6 Mn 2.81-2.86
Te  0.7454  0.7500  0.0838  6 Mn 2.81-2.86
Te  0.7546  0.2500  0.5838  6 Mn 2.81-2.86

Computed properties:
Mass density in g cm⁻³: 6.75
E_form in eV per atom: -0.29


No. 6
Compound: MnTe
Source: Materials Project
Functional: GGA-PBE
Structure: relaxed

a = 7.1473 Å, b = 4.2224 Å, c = 7.1485 Å
α = 90.00°, β = 108.05°, γ = 90.00°
With the nearest neighbours (Å) after each atom.
Fractional coordinates of all 8 atoms:
Mn  0.1166  0.2500  0.1180  4 Te 2.62-2.71, 3 Mn 2.79-2.89
Mn  0.2985  0.2500  0.5248  4 Te 2.76-2.86, 1 Mn 2.79
Mn  0.7015  0.7500  0.4752  4 Te 2.76-2.86, 1 Mn 2.79
Mn  0.8834  0.7500  0.8820  4 Te 2.62-2.71, 3 Mn 2.79-2.89
Te  0.0035  0.2500  0.7195  4 Mn 2.68-2.86
Te  0.4977  0.7500  0.7492  4 Mn 2.62-2.78
Te  0.5023  0.2500  0.2508  4 Mn 2.62-2.78
Te  0.9965  0.7500  0.2805  4 Mn 2.68-2.86

Computed properties:
Mass density in g cm⁻³: 5.91
E_form in eV per atom: -0.21


No. 7
Compound: MnTe
Source: Materials Project
Functional: GGA-PBE
Structure: relaxed

a = 4.0800 Å, b = 4.0800 Å, c = 4.0800 Å
α = 60.00°, β = 60.00°, γ = 60.00°
With the nearest neighbours (Å) after each atom.
Fractional coordinates of all 2 atoms:
Mn  0.0000  0.0000  0.0000  6 Te 2.88
Te  0.5000  0.5000  0.5000  6 Mn 2.88

Computed properties:
Mass density in g cm⁻³: 6.31
E_form in eV per atom: -0.25


No. 8
Compound: MnTe
Source: Materials Project
Functional: GGA-PBE
Structure: relaxed

a = 5.9514 Å, b = 10.9491 Å, c = 6.4465 Å
α = 90.00°, β = 90.00°, γ = 90.00°
With the nearest neighbours (Å) after each atom.
Fractional coordinates of all 16 atoms:
Mn  0.7500  0.3686  0.8571  2 Te 2.72-2.74, 2 Mn 2.88-2.94
Mn  0.2500  0.6314  0.1429  2 Te 2.72-2.74, 2 Mn 2.88-2.94
Mn  0.2500  0.8686  0.3571  2 Te 2.72-2.74, 2 Mn 2.88-2.94
Mn  0.2500  0.3686  0.1429  2 Te 2.72-2.74, 2 Mn 2.88-2.94
Mn  0.7500  0.6314  0.8571  2 Te 2.72-2.74, 2 Mn 2.88-2.94
Mn  0.2500  0.1314  0.3571  2 Te 2.72-2.74, 2 Mn 2.88-2.94
Mn  0.7500  0.8686  0.6429  2 Te 2.72-2.74, 2 Mn 2.88-2.94
Mn  0.7500  0.1314  0.6429  2 Te 2.72-2.74, 2 Mn 2.88-2.94
Te  0.2500  0.3474  0.5668  2 Mn 2.72-2.74
Te  0.2500  0.6526  0.5668  2 Mn 2.72-2.74
Te  0.7500  0.1526  0.0668  2 Mn 2.72-2.74
Te  0.2500  0.8474  0.9332  2 Mn 2.72-2.74
Te  0.7500  0.6526  0.4332  2 Mn 2.72-2.74
Te  0.7500  0.3474  0.4332  2 Mn 2.72-2.74
Te  0.2500  0.1526  0.9332  2 Mn 2.72-2.74
Te  0.7500  0.8474  0.0668  2 Mn 2.72-2.74

Computed properties:
Mass density in g cm⁻³: 5.77
E_form in eV per atom: 0.47


No. 9
Compound: Mn3Te
Source: Materials Project
Functional: GGA-PBE
Structure: relaxed

a = 4.2245 Å, b = 4.2245 Å, c = 4.2245 Å
α = 60.00°, β = 60.00°, γ = 60.00°
With the nearest neighbours (Å) after each atom.
Fractional coordinates of all 4 atoms:
Mn  0.0000  0.0000  0.0000  8 Mn 2.59
Mn  0.2500  0.2500  0.2500  4 Te 2.59, 4 Mn 2.59
Mn  0.7500  0.7500  0.7500  4 Te 2.59, 4 Mn 2.59
Te  0.5000  0.5000  0.5000  8 Mn 2.59

Computed properties:
Mass density in g cm⁻³: 9.11
E_form in eV per atom: 0.15


No. 10
Compound: Mn3Te
Source: Materials Project
Functional: GGA-PBE
Structure: relaxed

a = 5.4371 Å, b = 5.4371 Å, c = 4.3658 Å
α = 90.00°, β = 90.00°, γ = 120.00°
With the nearest neighbours (Å) after each atom.
Fractional coordinates of all 8 atoms:
Mn  0.1522  0.3043  0.2500  6 Mn 2.48-2.61, 4 Te 2.72-2.77
Mn  0.1522  0.8478  0.2500  6 Mn 2.48-2.61, 4 Te 2.72-2.77
Mn  0.3043  0.1522  0.7500  6 Mn 2.48-2.61, 4 Te 2.72-2.77
Mn  0.6957  0.8478  0.2500  6 Mn 2.48-2.61, 4 Te 2.72-2.77
Mn  0.8478  0.1522  0.7500  6 Mn 2.48-2.61, 4 Te 2.72-2.77
Mn  0.8478  0.6957  0.7500  6 Mn 2.48-2.61, 4 Te 2.72-2.77
Te  0.3333  0.6667  0.7500  12 Mn 2.72-2.77
Te  0.6667  0.3333  0.2500  12 Mn 2.72-2.77

Computed properties:
Mass density in g cm⁻³: 8.69
E_form in eV per atom: 0.15


No. 11
Compound: MnTe
Source: Materials Project
Functional: GGA-PBE
Structure: relaxed

a = 4.5222 Å, b = 4.5222 Å, c = 4.5222 Å
α = 60.00°, β = 60.00°, γ = 60.00°
With the nearest neighbours (Å) after each atom.
Fractional coordinates of all 2 atoms:
Mn  0.0000  0.0000  0.0000  4 Te 2.77
Te  0.7500  0.7500  0.7500  4 Mn 2.77

Computed properties:
Mass density in g cm⁻³: 4.64
E_form in eV per atom: -0.27


No. 12
Compound: MnTe2
Source: Materials Project
Functional: GGA-PBE
Structure: relaxed

a = 6.6932 Å, b = 6.6932 Å, c = 6.6932 Å
α = 90.00°, β = 90.00°, γ = 90.00°
With the nearest neighbours (Å) after each atom.
Fractional coordinates of all 12 atoms:
Mn  0.0000  0.0000  0.0000  6 Te 2.76
Mn  0.0000  0.5000  0.5000  6 Te 2.76
Mn  0.5000  0.0000  0.5000  6 Te 2.76
Mn  0.5000  0.5000  0.0000  6 Te 2.76
Te  0.1343  0.6343  0.8657  3 Mn 2.76
Te  0.1343  0.8657  0.3657  3 Mn 2.76
Te  0.3657  0.1343  0.8657  3 Mn 2.76
Te  0.3657  0.3657  0.3657  3 Mn 2.76
Te  0.6343  0.6343  0.6343  3 Mn 2.76
Te  0.6343  0.8657  0.1343  3 Mn 2.76
Te  0.8657  0.1343  0.6343  3 Mn 2.76
Te  0.8657  0.3657  0.1343  3 Mn 2.76

Computed properties:
Mass density in g cm⁻³: 6.87
E_form in eV per atom: -0.40


No. 13
Compound: MnTe
Source: Materials Project
Functional: GGA-PBE
Structure: relaxed

a = 7.5210 Å, b = 3.9210 Å, c = 6.8956 Å
α = 90.00°, β = 90.00°, γ = 90.00°
With the nearest neighbours (Å) after each atom.
Fractional coordinates of all 8 atoms:
Mn  0.2309  0.2500  0.0954  5 Te 2.76-3.03
Mn  0.2691  0.7500  0.5954  5 Te 2.76-3.03
Mn  0.7309  0.2500  0.4046  5 Te 2.76-3.03
Mn  0.7691  0.7500  0.9046  5 Te 2.76-3.03
Te  0.0428  0.2500  0.7510  5 Mn 2.76-3.03
Te  0.4572  0.7500  0.2510  5 Mn 2.76-3.03
Te  0.5428  0.2500  0.7490  5 Mn 2.76-3.03
Te  0.9572  0.7500  0.2490  5 Mn 2.76-3.03

Computed properties:
Mass density in g cm⁻³: 5.96
E_form in eV per atom: -0.11


No. 14
Compound: MnTe
Source: Materials Project
Functional: GGA-PBE
Structure: relaxed

a = 4.2200 Å, b = 4.2200 Å, c = 5.9461 Å
α = 90.00°, β = 90.00°, γ = 120.00°
With the nearest neighbours (Å) after each atom.
Fractional coordinates of all 4 atoms:
Mn  0.0000  0.0000  0.0000  6 Te 2.85, 2 Mn 2.97
Mn  0.0000  0.0000  0.5000  6 Te 2.85, 2 Mn 2.97
Te  0.3333  0.6667  0.2500  6 Mn 2.85
Te  0.6667  0.3333  0.7500  6 Mn 2.85

Computed properties:
Mass density in g cm⁻³: 6.61
E_form in eV per atom: -0.29


No. 15
Compound: MnVTe2
Source: Materials Project
Functional: GGA-PBE
Structure: relaxed

a = 4.2022 Å, b = 4.2022 Å, c = 5.0333 Å
α = 90.00°, β = 90.00°, γ = 120.00°
With the nearest neighbours (Å) after each atom.
Fractional coordinates of all 4 atoms:
Mn  0.0000  0.0000  0.0000  2 V 2.52, 6 Te 2.71
V  0.0000  0.0000  0.5000  2 Mn 2.52, 6 Te 2.76
Te  0.3333  0.6667  0.7607  3 Mn 2.71, 3 V 2.76
Te  0.6667  0.3333  0.2393  3 Mn 2.71, 3 V 2.76

Computed properties:
Mass density in g cm⁻³: 7.79
E_form in eV per atom: -0.18


No. 16
Compound: MnZnTe2
Source: Materials Project
Functional: GGA-PBE
Structure: relaxed

a = 4.4386 Å, b = 4.4386 Å, c = 6.2620 Å
α = 90.00°, β = 90.00°, γ = 90.00°
With the nearest neighbours (Å) after each atom.
Fractional coordinates of all 4 atoms:
Mn  0.0000  0.0000  0.0000  4 Te 2.73
Zn  0.5000  0.5000  0.5000  4 Te 2.70
Te  0.0000  0.5000  0.2551  2 Zn 2.70, 2 Mn 2.73
Te  0.5000  0.0000  0.7449  2 Zn 2.70, 2 Mn 2.73

Computed properties:
Mass density in g cm⁻³: 5.05
E_form in eV per atom: -0.49


No. 17
Compound: MnZnTe2
Source: Materials Project
Functional: GGA-PBE
Structure: relaxed

a = 7.6645 Å, b = 7.6645 Å, c = 7.6645 Å
α = 33.68°, β = 33.68°, γ = 33.68°
With the nearest neighbours (Å) after each atom.
Fractional coordinates of all 4 atoms:
Mn  0.0000  0.0000  0.0000  4 Te 2.73
Zn  0.5002  0.5002  0.5002  4 Te 2.68-2.71
Te  0.3764  0.3764  0.3764  1 Zn 2.68, 3 Mn 2.73
Te  0.8740  0.8740  0.8740  3 Zn 2.71, 1 Mn 2.73

Computed properties:
Mass density in g cm⁻³: 5.06
E_form in eV per atom: -0.48


No. 18
Compound: Zr6MnTe2
Source: Materials Project
Functional: GGA-PBE
Structure: relaxed

a = 7.8316 Å, b = 7.8316 Å, c = 3.6615 Å
α = 90.00°, β = 90.00°, γ = 120.00°
With the nearest neighbours (Å) after each atom.
Fractional coordinates of all 9 atoms:
Zr  0.0000  0.2406  0.0000  2 Mn 2.63
Zr  0.0000  0.5973  0.5000  4 Te 3.01, 1 Mn 3.15, 6 Zr 3.30-3.34
Zr  0.2406  0.0000  0.0000  2 Mn 2.63
Zr  0.4027  0.4027  0.5000  4 Te 3.01, 1 Mn 3.15, 6 Zr 3.30-3.34
Zr  0.5973  0.0000  0.5000  4 Te 3.01, 1 Mn 3.15, 6 Zr 3.30-3.34
Zr  0.7594  0.7594  0.0000  2 Mn 2.63
Mn  0.0000  0.0000  0.5000  6 Zr 2.63
Te  0.3333  0.6667  0.0000  9 Zr 3.01-3.04
Te  0.6667  0.3333  0.0000  9 Zr 3.01-3.04

Computed properties:
Mass density in g cm⁻³: 7.32
E_form in eV per atom: -0.59


No. 19
Compound: Y3Th3Mn23
Source: Materials Project
Functional: GGA-PBE
Structure: relaxed

a = 8.5730 Å, b = 8.5730 Å, c = 8.5730 Å
α = 60.06°, β = 60.06°, γ = 60.06°
With the nearest neighbours (Å) after each atom.
Fractional coordinates of all 29 atoms:
Y  0.1960  0.1960  0.6081  12 Mn 2.95-3.08
Y  0.1960  0.6081  0.1960  12 Mn 2.95-3.08
Y  0.6081  0.1960  0.1960  12 Mn 2.95-3.08
Th  0.1943  0.6110  0.6110  12 Mn 2.92-3.14
Th  0.6110  0.1943  0.6110  12 Mn 2.92-3.14
Th  0.6110  0.6110  0.1943  12 Mn 2.92-3.14
Mn  0.0241  0.0241  0.5354  7 Mn 2.60-2.70
Mn  0.0241  0.5354  0.0241  7 Mn 2.60-2.70
Mn  0.0256  0.0256  0.0256  7 Mn 2.51-2.59
Mn  0.2225  0.2225  0.9393  9 Mn 2.43-2.60
Mn  0.2225  0.9393  0.2225  9 Mn 2.43-2.60
Mn  0.2255  0.2255  0.2255  9 Mn 2.43-2.62
Mn  0.2716  0.7786  0.7786  7 Mn 2.56-2.65
Mn  0.3958  0.9011  0.9011  8 Mn 2.49-2.70
Mn  0.4010  0.4010  0.9136  8 Mn 2.43-2.65
Mn  0.4010  0.9136  0.4010  8 Mn 2.43-2.65
Mn  0.5354  0.0241  0.0241  7 Mn 2.60-2.70
Mn  0.5790  0.5790  0.8684  9 Mn 2.41-2.62
Mn  0.5790  0.8684  0.5790  9 Mn 2.41-2.62
Mn  0.5833  0.5833  0.5833  9 Mn 2.41-2.57
Mn  0.7786  0.2716  0.7786  7 Mn 2.56-2.65
Mn  0.7786  0.7786  0.2716  7 Mn 2.56-2.65
Mn  0.7799  0.7799  0.7799  7 Mn 2.62-2.69
Mn  0.8684  0.5790  0.5790  9 Mn 2.41-2.62
Mn  0.9011  0.3958  0.9011  8 Mn 2.49-2.70
Mn  0.9011  0.9011  0.3958  8 Mn 2.49-2.70
Mn  0.9058  0.9058  0.9058  8 Mn 2.51-2.64
Mn  0.9136  0.4010  0.4010  8 Mn 2.43-2.65
Mn  0.9393  0.2225  0.2225  9 Mn 2.43-2.60

Computed properties:
Mass density in g cm⁻³: 8.29
E_form in eV per atom: 0.09